Entry from the Materials Project database: crystalline CsMg6Co at its relaxed geometry (PBE).

extended XYZ file:
```
16
Lattice="-2.026 2.494 0.299 -5.721 -4.805 1.313 3.409 0.685 17.354" Properties=species:S:1:pos:R:3 pbc="T T T"
Cs -3.116 -1.003 4.662
Cs 1.449 1.742 12.682
Mg -3.817 -3.298 1.640
Mg -1.617 -1.450 1.135
Mg 0.991 0.199 5.044
Mg -1.302 0.126 7.531
Mg -3.695 -1.884 8.080
Mg -0.634 1.323 2.081
Mg 0.748 -0.552 9.661
Mg -2.774 -3.510 10.469
Mg -0.166 -1.861 14.378
Mg -2.459 -1.934 16.864
Mg 0.870 0.861 16.100
Mg -1.790 -0.737 11.415
Co -1.207 -2.070 9.075
Co 3.358 0.675 17.095
```

Relative energy among the computed polymorphs: 0.00 eV per formula unit
Total magnetic moment: 0.00 μB/cell


Entry from the Materials Project database: crystalline CsMg14Co at its relaxed geometry (PBE).

extended XYZ file:
```
16
Lattice="-0.652 -1.449 -6.249 5.797 -0.342 2.801 -1.848 -10.259 2.572" Properties=species:S:1:pos:R:3 pbc="T T T"
Cs 0.668 -6.767 1.500
Mg 4.458 -1.785 1.685
Mg 3.581 -6.949 2.869
Mg 1.347 -2.378 -2.915
Mg 0.308 -7.485 -1.622
Mg 4.118 -2.542 -1.577
Mg 3.261 -7.660 -0.196
Mg 0.151 -3.980 -0.721
Mg -0.919 -9.916 0.767
Mg 2.989 -4.148 0.650
Mg 1.919 -10.083 2.138
Mg -0.182 -4.720 -3.911
Mg -1.252 -10.656 -2.422
Mg 2.608 -5.393 -2.348
Mg 1.724 -10.302 -1.117
Co 1.593 -1.638 0.214
```

Relative energy among the computed polymorphs: 0.28 eV per formula unit
Total magnetic moment: 0.00 μB/cell


Entry from the Materials Project database: crystalline U2Co3CuGe4 at its relaxed geometry (PBE).

extended XYZ file:
```
10
Lattice="-2.503 1.295 -2.924 -2.482 -3.128 0.739 -4.870 5.416 6.567" Properties=species:S:1:pos:R:3 pbc="T T T"
U -4.884 4.687 3.435
U -2.479 -0.188 2.038
Co -2.435 2.708 3.283
Co 0.000 0.000 0.000
Co -4.928 1.791 2.191
Cu -2.493 -0.917 -1.093
Ge -5.492 3.162 6.101
Ge -3.102 2.706 1.033
Ge -1.871 1.337 -0.627
Ge -4.261 1.793 4.441
```

Total magnetic moment: 4.24 μB/cell


Entry from the Materials Project database: crystalline HoCo4Cu at its relaxed geometry (PBE).

extended XYZ file:
```
6
Lattice="-0.435 3.941 -0.304 0.756 0.456 4.829 3.795 0.180 -3.104" Properties=species:S:1:pos:R:3 pbc="T T T"
Ho 0.756 0.456 4.829
Co 1.769 0.364 2.184
Co 0.168 2.199 2.262
Co 2.055 2.289 0.717
Co 2.432 2.515 3.120
Cu 2.782 0.272 -0.460
```

Total magnetic moment: 5.23 μB/cell


Entry from the Materials Project database: crystalline KCoCuS2 at its relaxed geometry (PBE).

extended XYZ file:
```
5
Lattice="-1.910 1.910 6.496 1.910 -1.910 6.496 1.910 1.910 -6.496" Properties=species:S:1:pos:R:3 pbc="T T T"
K 0.000 0.000 0.000
Co 0.000 1.910 3.248
Cu 1.910 0.000 3.248
S 0.000 0.000 8.421
S 0.000 0.000 4.570
```

Total magnetic moment: 2.89 μB/cell


Entry from the Materials Project database: crystalline LaCoCu12 at its relaxed geometry (PBE).

extended XYZ file:
```
28
Lattice="-4.233 2.956 6.310 -8.136 0.370 -0.365 -4.518 -5.007 4.581" Properties=species:S:1:pos:R:3 pbc="T T T"
La -12.666 -1.261 7.894
La -4.222 -0.420 2.631
Co 0.000 0.000 0.000
Co -8.444 -0.840 5.263
Cu -11.948 0.946 5.456
Cu -9.978 2.721 5.945
Cu -6.909 -4.402 4.580
Cu -9.922 0.369 6.823
Cu -9.778 0.935 4.191
Cu -9.034 -3.175 4.728
Cu -7.854 1.494 5.797
Cu -9.539 -2.162 7.034
Cu -9.318 -1.295 3.002
Cu -5.813 1.313 7.251
Cu -9.165 0.911 1.810
Cu -7.328 -1.038 1.491
Cu -11.074 -2.993 3.275
Cu -11.218 -3.560 5.907
Cu -7.723 -2.592 8.715
Cu -5.670 1.879 4.618
Cu -9.559 -0.643 9.034
Cu -10.870 -1.226 5.047
Cu -7.110 -2.616 6.335
Cu -7.569 -0.386 7.524
Cu -7.349 0.481 3.492
Cu -6.966 -2.050 3.702
Cu -6.017 -0.455 5.478
Cu -4.940 -2.627 5.070
```

Total magnetic moment: 0.07 μB/cell


Entry from the Materials Project database: crystalline Lu2CoCu at its relaxed geometry (PBE).

extended XYZ file:
```
4
Lattice="1.072 0.345 4.563 0.212 4.223 2.051 -3.296 1.275 3.099" Properties=species:S:1:pos:R:3 pbc="T T T"
Lu -0.503 1.461 2.428
Lu -1.508 4.383 7.285
Co -1.006 2.922 4.856
Cu 0.000 0.000 0.000
```


Entry from the Materials Project database: crystalline Mg6CoCu at its relaxed geometry (PBE).

extended XYZ file:
```
16
Lattice="-2.442 -3.588 1.825 4.812 -1.548 3.396 -3.326 6.070 7.481" Properties=species:S:1:pos:R:3 pbc="T T T"
Mg -0.303 -1.669 2.386
Mg 2.115 -2.447 4.092
Mg -1.796 5.125 7.671
Mg 0.559 4.367 9.333
Mg 1.834 0.270 2.985
Mg 0.160 3.325 6.751
Mg 0.440 0.592 7.824
Mg -1.955 1.362 6.135
Mg 2.273 1.316 5.628
Mg -0.184 2.106 3.894
Mg -2.235 4.079 5.028
Mg -0.583 1.065 1.312
Co -1.585 2.488 8.842
Co -2.328 0.227 3.403
Cu 0.078 -0.548 5.101
Cu -3.991 3.262 7.144
```

Relative energy among the computed polymorphs: 0.43 eV per formula unit
Total magnetic moment: 2.24 μB/cell


Entry from the Materials Project database: crystalline Mg6CoCu at its relaxed geometry (PBE).

extended XYZ file:
```
16
Lattice="-3.068 -0.938 -3.222 4.806 0.552 -4.736 1.915 -9.240 0.866" Properties=species:S:1:pos:R:3 pbc="T T T"
Mg 1.624 -1.108 -1.224
Mg 3.706 -0.869 -3.275
Mg 4.094 -7.885 -1.603
Mg 1.176 -8.304 -1.910
Mg 3.861 -7.996 -4.556
Mg 2.056 -5.923 -3.442
Mg 4.985 -5.452 -3.159
Mg 2.260 -5.765 -0.474
Mg 0.734 -3.542 0.332
Mg 2.621 -3.409 -4.712
Mg 0.500 -3.652 -2.621
Mg -1.304 -1.579 -1.507
Co 1.045 -1.043 -3.900
Co -0.400 -5.939 -1.098
Cu 3.185 -3.499 -2.014
Cu 1.740 -8.395 0.787
```

Relative energy among the computed polymorphs: 0.00 eV per formula unit
Total magnetic moment: 1.55 μB/cell


Entry from the Materials Project database: crystalline MgCoCu3Se4 at its relaxed geometry (PBE).

extended XYZ file:
```
9
Lattice="-3.744 -0.963 4.231 -0.299 -5.518 -1.520 4.329 -1.214 3.554" Properties=species:S:1:pos:R:3 pbc="T T T"
Mg 0.143 -3.847 3.132
Co 0.000 0.000 0.000
Cu -0.150 -2.759 -0.760
Cu 2.165 -0.607 1.777
Cu -1.872 -0.481 2.116
Se 0.069 -1.862 1.516
Se -2.017 -5.206 2.915
Se 2.149 -5.335 2.566
Se 0.371 -2.985 5.533
```

Total magnetic moment: 3.32 μB/cell


Entry from the Materials Project database: crystalline Co4Cu3Ni2Se12 at its relaxed geometry (PBE).

extended XYZ file:
```
42
Lattice="2.816 -5.944 -2.769 7.086 -0.805 -0.266 -0.252 -7.496 15.819" Properties=species:S:1:pos:R:3 pbc="T T T"
Co 1.483 -6.123 10.040
Co 8.167 -8.123 2.745
Co 1.408 -2.972 -1.384
Co 5.026 -6.522 9.905
Co 4.624 -7.724 2.879
Co 3.543 -0.403 -0.133
Co 2.889 -9.094 8.652
Co 6.762 -5.151 4.132
Cu 3.186 -5.688 6.242
Cu 9.868 -7.686 -1.053
Cu 6.402 -10.435 10.504
Cu 3.249 -3.810 2.281
Cu -0.218 -6.559 13.838
Cu 6.465 -8.558 6.542
Ni 6.561 -5.750 0.614
Ni 3.090 -8.495 12.170
Ni -0.126 -3.748 7.909
Ni 4.951 -3.375 -1.517
Se 1.383 -4.096 6.050
Se 8.067 -6.098 -1.243
Se 4.597 -8.842 10.310
Se -0.065 -1.972 4.158
Se 6.382 -11.477 12.675
Se 3.151 -6.720 8.422
Se 2.930 -7.364 4.528
Se 6.813 -3.425 0.012
Se 3.331 -6.171 11.560
Se 5.279 -4.538 5.905
Se 4.880 -5.751 -1.121
Se 1.411 -8.482 10.434
Se 5.053 -5.404 2.475
Se 1.583 -8.148 14.027
Se 8.268 -10.150 6.734
Se 6.499 -7.525 4.363
Se 3.269 -2.769 0.109
Se 9.715 -12.274 8.626
Se 6.320 -8.074 1.225
Se 2.837 -10.821 12.772
Se 6.720 -6.881 8.257
Se 8.239 -5.764 2.350
Se 4.770 -8.494 13.906
Se 4.372 -9.708 6.880
```

Total magnetic moment: 0.60 μB/cell


Entry from the Materials Project database: crystalline Pm2CoCu at its relaxed geometry (PBE).

extended XYZ file:
```
4
Lattice="0.000 3.486 3.486 3.486 0.000 3.486 3.486 3.486 0.000" Properties=species:S:1:pos:R:3 pbc="T T T"
Pm 1.743 1.743 1.743
Pm 5.229 5.229 5.229
Co 3.486 3.486 3.486
Cu 0.000 0.000 0.000
```


Entry from the Materials Project database: crystalline RbCoCuS2 at its relaxed geometry (PBE).

extended XYZ file:
```
5
Lattice="-1.954 1.954 6.518 1.954 -1.954 6.518 1.954 1.954 -6.518" Properties=species:S:1:pos:R:3 pbc="T T T"
Rb 0.000 0.000 0.000
Co 0.000 1.954 3.259
Cu 1.954 0.000 3.259
S 0.000 0.000 8.599
S 0.000 0.000 4.438
```

Total magnetic moment: 2.70 μB/cell


Entry from the Materials Project database: crystalline RbCoCu3Se4 at its relaxed geometry (PBE).

extended XYZ file:
```
9
Lattice="6.111 0.000 0.000 0.000 6.111 0.000 0.000 0.000 6.111" Properties=species:S:1:pos:R:3 pbc="T T T"
Rb 3.055 3.055 3.055
Co 0.000 0.000 0.000
Cu 0.000 3.055 0.000
Cu 0.000 0.000 3.055
Cu 3.055 0.000 0.000
Se 1.297 1.297 1.297
Se 4.814 4.814 1.297
Se 1.297 4.814 4.814
Se 4.814 1.297 4.814
```

Total magnetic moment: 1.00 μB/cell


Entry from the Materials Project database: crystalline Co3CuSn2S8 at its relaxed geometry (PBE).

extended XYZ file:
```
14
Lattice="-5.025 -0.039 -4.998 4.987 -4.987 0.000 -5.064 -5.064 0.000" Properties=species:S:1:pos:R:3 pbc="T T T"
Co -3.837 -8.823 -3.706
Co -5.035 -2.561 -2.497
Co -2.561 -5.035 -2.497
Cu -1.266 -1.266 -1.316
Sn -2.538 -2.538 -4.995
Sn -5.058 -5.058 -4.995
S -2.522 -5.074 -4.790
S -5.074 -2.522 -4.790
S -4.889 -4.889 -2.461
S -2.707 -2.707 -2.461
S -2.602 -4.994 -0.186
S -0.007 -7.589 -0.186
S -0.190 -5.177 -2.554
S -2.419 -7.406 -2.554
```

Total magnetic moment: 2.00 μB/cell


Entry from the Materials Project database: crystalline CoCu2Sn3S8 at its relaxed geometry (PBE).

extended XYZ file:
```
14
Lattice="-5.602 4.392 1.682 -6.304 -0.576 -3.664 -5.906 -2.746 3.328" Properties=species:S:1:pos:R:3 pbc="T T T"
Co 0.000 0.000 0.000
Cu -6.770 0.407 0.511
Cu -11.042 0.663 0.834
Sn -2.801 2.196 0.841
Sn -2.953 -1.373 1.664
Sn -3.152 -0.288 -1.832
S -4.468 0.268 0.337
S -7.132 2.619 1.219
S -7.296 -1.237 2.107
S -7.511 -0.065 -1.669
S -13.344 0.801 1.008
S -10.680 -1.549 0.127
S -10.516 2.306 -0.762
S -10.301 1.134 3.014
```

Total magnetic moment: 1.00 μB/cell


Entry from the Materials Project database: crystalline TiCoCuS4 at its relaxed geometry (PBE).

extended XYZ file:
```
14
Lattice="-0.226 -6.599 2.042 3.967 1.554 5.442 -5.932 3.354 -1.151" Properties=species:S:1:pos:R:3 pbc="T T T"
Ti -2.966 1.677 -0.575
Ti 1.983 0.777 2.721
Co -3.079 -1.622 0.445
Co 0.000 0.000 0.000
Cu -0.136 -2.704 3.031
Cu -2.056 1.014 3.302
S -5.010 2.180 0.615
S -2.232 -2.836 2.222
S -5.046 -1.356 1.639
S -0.207 -1.981 5.176
S 2.818 -3.871 5.718
S 0.040 1.146 4.111
S 2.854 -0.334 4.694
S -1.985 0.291 1.157
```

Total magnetic moment: 0.00 μB/cell


Entry from the Materials Project database: crystalline Sc2CoCu at its relaxed geometry (PBE).

extended XYZ file:
```
4
Lattice="0.000 3.191 3.191 3.191 0.000 3.191 3.191 3.191 0.000" Properties=species:S:1:pos:R:3 pbc="T T T"
Sc 1.595 1.595 1.595
Sc 4.786 4.786 4.786
Co 3.191 3.191 3.191
Cu 0.000 0.000 0.000
```

Relative energy among the computed polymorphs: 0.00 eV per formula unit


Entry from the Materials Project database: crystalline SrCoCu3Se4 at its relaxed geometry (PBE).

extended XYZ file:
```
9
Lattice="6.015 0.000 0.000 0.000 6.015 0.000 0.000 0.000 6.015" Properties=species:S:1:pos:R:3 pbc="T T T"
Sr 3.008 3.008 3.008
Co 0.000 0.000 0.000
Cu 0.000 3.008 0.000
Cu 0.000 0.000 3.008
Cu 3.008 0.000 0.000
Se 1.347 1.347 1.347
Se 4.668 4.668 1.347
Se 1.347 4.668 4.668
Se 4.668 1.347 4.668
```

Total magnetic moment: 3.57 μB/cell


Entry from the Materials Project database: crystalline Tm2CoCu at its relaxed geometry (PBE).

extended XYZ file:
```
4
Lattice="2.836 -2.926 2.425 -1.478 -4.372 1.089 1.927 -3.759 -2.154" Properties=species:S:1:pos:R:3 pbc="T T T"
Tm 0.821 -2.764 0.340
Tm 2.463 -8.293 1.020
Co 1.642 -5.528 0.680
Cu 0.000 0.000 0.000
```


Computed ΔE_f (eV/atom) in order:
0.255, 0.259, -0.273, -0.115, -0.738, -0.067, -0.275, 0.129, 0.075, -0.486, -0.597, -0.087, -0.714, -0.421, -0.626, -0.645, -1.027, -0.311, -0.621, -0.248
Computed ρ (g cm⁻³) in order:
2.59, 2.29, 10.34, 9.29, 3.95, 8.32, 10.69, 3.05, 3.05, 5.20, 6.41, 8.09, 4.54, 4.74, 4.83, 4.78, 4.25, 5.43, 4.98, 10.14